A relaxed structure of LiSnPO4, computed with PBE-GGA.

Geometry as POSCAR:
```
LiSnPO4
1.0
-1.5775 1.7558 -4.8295
-3.4047 -4.4455 -0.5041
-10.4969 7.3475 6.0999
Sn O Li P
4 16 4 4
Direct
0.2934 0.4705 0.4718
0.7934 0.0295 0.5282
0.7066 0.9705 0.0282
0.2066 0.5295 0.9718
0.7085 0.6499 0.4860
0.9562 0.4966 0.3421
0.4876 0.5795 0.3349
0.1958 0.4265 0.1468
0.2915 0.1499 0.0140
0.2085 0.8501 0.5140
0.9876 0.9205 0.6651
0.5124 0.0795 0.1651
0.6958 0.0735 0.8532
0.0438 0.9966 0.1579
0.3042 0.5735 0.6468
0.0124 0.4205 0.8349
0.5438 0.5034 0.8421
0.8042 0.9265 0.3532
0.7915 0.3501 0.9860
0.4562 0.0034 0.6579
0.7986 0.1381 0.2500
0.7014 0.8619 0.7500
0.2014 0.6381 0.2500
0.2986 0.3619 0.7500
0.7446 0.6652 0.3735
0.7554 0.3348 0.8735
0.2446 0.8348 0.6265
0.2554 0.1652 0.1265
```

Calculated total energy in eV/atom: -6.463
Largest piezoelectric modulus in C/m²: 0.5
Calculated volume in A^3/atom: 15.317
Density in kg/m3: 3417



A relaxed structure of Li2Sn3P4O14, computed with PBE-GGA.

Geometry as POSCAR:
```
Li2Sn3P4O14
1.0
6.3181 0.0000 0.0000
-3.0287 6.9441 0.0000
-1.1067 -2.5272 7.5329
O Sn P Li
14 3 4 2
Direct
0.2310 0.8146 0.8698
0.8390 0.5467 0.1497
0.8590 0.2376 0.5500
0.5752 0.7195 0.8628
0.6975 0.6683 0.4214
0.4043 0.7383 0.1349
0.9348 0.9146 0.2705
0.1610 0.4533 0.8503
0.7690 0.1854 0.1302
0.0652 0.0854 0.7295
0.5957 0.2617 0.8651
0.3025 0.3317 0.5786
0.4248 0.2805 0.1372
0.1410 0.7624 0.4500
0.3088 0.5253 0.2990
0.0000 0.0000 0.0000
0.6912 0.4747 0.7010
0.3521 0.6938 0.9318
0.6479 0.3062 0.0682
0.0909 0.2656 0.6654
0.9091 0.7344 0.3346
0.7152 0.0381 0.3048
0.2848 0.9619 0.6952
```

Calculated total energy in eV/atom: -6.654
Calculated volume in A^3/atom: 14.369
ΔE to the lowest computed polymorph in kJ/mol of formula units: 0
Density in kg/m3: 3607



A relaxed structure of Li3Sn2P5O16, computed with PBE-GGA.

Geometry as POSCAR:
```
Li3Sn2P5O16
1.0
7.5237 0.0000 0.0000
0.0000 5.2597 0.0000
0.0000 1.7812 18.6203
O P Li Sn
32 10 6 4
Direct
0.6152 0.1583 0.6978
0.0038 0.3603 0.1378
0.1453 0.0120 0.5673
0.0038 0.6397 0.3622
0.9962 0.3603 0.6378
0.1474 0.1906 0.2892
0.8547 0.0120 0.0673
0.6152 0.8417 0.8022
0.5731 0.4530 0.8923
0.8526 0.8094 0.7108
0.3217 0.7410 0.8482
0.3217 0.2590 0.6518
0.7951 0.5164 0.4669
0.5569 0.9039 0.9345
0.6783 0.7410 0.3482
0.7951 0.4836 0.0331
0.4269 0.4530 0.3923
0.6783 0.2590 0.1518
0.4431 0.0961 0.0655
0.5569 0.0961 0.5655
0.1474 0.8094 0.2108
0.3848 0.1583 0.1978
0.3848 0.8417 0.3022
0.5731 0.5470 0.6077
0.4431 0.9039 0.4345
0.2049 0.4836 0.5331
0.1453 0.9880 0.9327
0.4269 0.5470 0.1077
0.9962 0.6397 0.8622
0.8526 0.1906 0.7892
0.2049 0.5164 0.9669
0.8547 0.9880 0.4327
0.5245 0.7320 0.8756
0.4755 0.7320 0.3756
0.5245 0.2680 0.6244
0.4755 0.2680 0.1244
0.7513 0.0000 0.7500
0.1558 0.2765 0.5940
0.8442 0.2765 0.0940
0.8442 0.7235 0.4060
0.2487 0.0000 0.2500
0.1558 0.7235 0.9060
0.3712 0.7947 0.5408
0.0340 0.5000 0.2500
0.9660 0.5000 0.7500
0.3712 0.2053 0.9592
0.6288 0.2053 0.4592
0.6288 0.7947 0.0408
0.1454 0.7298 0.0788
0.8546 0.7298 0.5788
0.1454 0.2702 0.4212
0.8546 0.2702 0.9212
```

Calculated total energy in eV/atom: -6.717
Calculated volume in A^3/atom: 14.170
Density in kg/m3: 3016



A relaxed structure of Li3Sn2P3O12, computed with PBE-GGA.

Geometry as POSCAR:
```
Li3Sn2P3O12
1.0
9.3382 0.0000 0.0000
0.0000 8.7376 0.0000
0.0000 8.6294 12.8944
Li O P Sn
12 48 12 8
Direct
0.7341 0.9927 0.3030
0.0265 0.7195 0.8580
0.5820 0.3831 0.1879
0.7659 0.9927 0.8030
0.2341 0.0073 0.1970
0.9735 0.2805 0.1420
0.4180 0.6169 0.8121
0.5265 0.2805 0.6420
0.0820 0.6169 0.3121
0.9180 0.3831 0.6879
0.4735 0.7195 0.3580
0.2659 0.0073 0.6970
0.9060 0.1914 0.4344
0.2003 0.6521 0.1919
0.3558 0.5806 0.9510
0.0885 0.1450 0.9096
0.4115 0.1450 0.4096
0.9659 0.1025 0.7768
0.9349 0.1748 0.0576
0.6244 0.5235 0.5732
0.5341 0.1025 0.2768
0.1442 0.5806 0.4510
0.8849 0.1809 0.2746
0.2997 0.6521 0.6919
0.6590 0.5465 0.4037
0.8558 0.4194 0.5490
0.4060 0.8086 0.0656
0.0651 0.8252 0.9424
0.5651 0.1748 0.5576
0.2922 0.2372 0.0681
0.4659 0.8975 0.7232
0.7365 0.9491 0.6917
0.1244 0.4765 0.9268
0.1151 0.8191 0.7254
0.6442 0.4194 0.0490
0.7003 0.3479 0.3081
0.7922 0.7628 0.4319
0.2635 0.0509 0.3083
0.9115 0.8550 0.0904
0.4577 0.5216 0.2410
0.7635 0.9491 0.1917
0.5885 0.8550 0.5904
0.0423 0.5216 0.7410
0.3756 0.4765 0.4268
0.5423 0.4784 0.7590
0.8756 0.5235 0.0732
0.2365 0.0509 0.8083
0.2078 0.2372 0.5681
0.7997 0.3479 0.8081
0.6151 0.1809 0.7746
0.1590 0.4535 0.0963
0.7078 0.7628 0.9319
0.5940 0.1914 0.9344
0.4349 0.8252 0.4424
0.3410 0.4535 0.5963
0.0341 0.8975 0.2232
0.9577 0.4784 0.2590
0.3849 0.8191 0.2254
0.0940 0.8086 0.5656
0.8410 0.5465 0.9037
0.8651 0.2977 0.3200
0.7618 0.5649 0.9876
0.4101 0.0388 0.3557
0.7382 0.5649 0.4876
0.2382 0.4351 0.0124
0.9101 0.9612 0.1443
0.1349 0.7023 0.6800
0.6349 0.2977 0.8200
0.2618 0.4351 0.5124
0.5899 0.9612 0.6443
0.3651 0.7023 0.1800
0.0899 0.0388 0.8557
0.9526 0.1305 0.5898
0.0353 0.6507 0.1026
0.5474 0.1305 0.0898
0.0474 0.8695 0.4102
0.4526 0.8695 0.9102
0.5353 0.3493 0.3974
0.4647 0.6507 0.6026
0.9647 0.3493 0.8974
```

Calculated total energy in eV/atom: -6.563
Calculated volume in A^3/atom: 13.151
ΔE to the lowest computed polymorph in kJ/mol of formula units: 22
Density in kg/m3: 3429



A relaxed structure of LiSn2P3O10, computed with PBE-GGA.

Geometry as POSCAR:
```
LiSn2P3O10
1.0
-3.4781 -7.1561 -0.3290
5.4796 -4.4040 3.7408
-3.0428 -3.1438 8.8231
O Sn P Li
20 4 6 2
Direct
0.0699 0.4400 0.2732
0.1853 0.7760 0.6369
0.4326 0.2522 0.2011
0.3718 0.8129 0.0457
0.6282 0.1871 0.9543
0.0907 0.1443 0.1508
0.1443 0.0907 0.6508
0.9093 0.8557 0.8492
0.7478 0.5674 0.2989
0.8147 0.2240 0.3631
0.1871 0.6282 0.4543
0.4400 0.0699 0.7732
0.7760 0.1853 0.1369
0.2522 0.4326 0.7011
0.8557 0.9093 0.3492
0.2240 0.8147 0.8631
0.9301 0.5600 0.7268
0.5674 0.7478 0.7989
0.8129 0.3718 0.5457
0.5600 0.9301 0.2268
0.7430 0.6124 0.9370
0.6124 0.7430 0.4370
0.2570 0.3876 0.0630
0.3876 0.2570 0.5630
0.4110 0.8683 0.8722
0.5890 0.1317 0.1278
0.1084 0.8916 0.7500
0.1317 0.5890 0.6278
0.8683 0.4110 0.3722
0.8916 0.1084 0.2500
0.2238 0.7762 0.2500
0.7762 0.2238 0.7500
```

Calculated total energy in eV/atom: -6.720
Calculated volume in A^3/atom: 16.617
ΔE to the lowest computed polymorph in kJ/mol of formula units: 8
Density in kg/m3: 3106



A relaxed structure of Li6Sn3P8O29, computed with PBE-GGA.

Geometry as POSCAR:
```
Li6Sn3P8O29
1.0
-5.4195 -0.1601 8.2682
-3.9782 -8.5148 3.0727
11.4871 -2.7919 7.6025
O Li P Sn
58 12 16 6
Direct
0.7494 0.3268 0.1591
0.8045 0.6868 0.3365
0.3243 0.7544 0.6576
0.0061 0.7733 0.9346
0.6678 0.6569 0.9825
0.9049 0.6279 0.6637
0.6717 0.2480 0.3465
0.6675 0.0763 0.8468
0.0770 0.6687 0.3463
0.3705 0.5297 0.3358
0.5316 0.0928 0.3349
0.4662 0.6282 0.1649
0.5193 0.3669 0.8348
0.4895 0.3215 0.1614
0.1089 0.5213 0.8360
0.1919 0.4962 0.1614
0.3122 0.2047 0.1689
0.6877 0.7954 0.8287
0.8096 0.5036 0.8364
0.6298 0.9140 0.1608
0.8009 0.0114 0.0784
0.0029 0.7873 0.7531
0.9872 0.2003 0.4180
0.2549 0.6688 0.8452
0.6639 0.6708 0.4844
0.2042 0.7908 0.2496
0.0826 0.3714 0.3378
0.5087 0.8061 0.3356
0.3345 0.3406 0.0173
0.7718 0.2290 0.9302
0.2182 0.9946 0.5608
0.0069 0.7803 0.5712
0.6272 0.4675 0.6611
0.0130 0.1987 0.2392
0.2008 0.0172 0.7397
0.9222 0.3247 0.6562
0.5123 0.6782 0.8371
0.3188 0.4918 0.6639
0.2175 0.7806 0.0690
0.4961 0.1931 0.6651
0.0752 0.2500 0.8449
0.2222 0.7793 0.4305
0.3398 0.3366 0.5189
0.9045 0.4667 0.1608
0.7848 0.2098 0.7503
0.7548 0.9227 0.6578
0.7746 0.9983 0.4368
0.2054 0.3127 0.6735
0.2085 0.9845 0.9192
0.2501 0.0762 0.3423
0.4654 0.9098 0.6599
0.7998 0.9905 0.2581
0.3275 0.9220 0.1561
0.3665 0.0995 0.8380
0.6844 0.5099 0.3396
0.9878 0.2211 0.0603
0.7811 0.2161 0.5687
0.9233 0.7509 0.1571
0.0161 0.0381 0.5056
0.2322 0.6661 0.5569
0.6621 0.1051 0.5573
0.3397 0.7681 0.9461
0.7701 0.3345 0.4440
0.6764 0.2303 0.0585
0.0032 0.0030 0.0043
0.3308 0.9041 0.4405
0.8980 0.7719 0.4441
0.3288 0.3261 0.8880
0.0893 0.6811 0.0582
0.8963 0.3358 0.9424
0.3058 0.9201 0.6505
0.6903 0.0823 0.3468
0.2230 0.6891 0.3439
0.0894 0.6871 0.8473
0.6707 0.6614 0.8769
0.9159 0.3064 0.1508
0.9183 0.7759 0.6583
0.3082 0.7777 0.1564
0.0822 0.2162 0.3392
0.3318 0.3377 0.1243
0.2170 0.0832 0.8410
0.7825 0.9191 0.1576
0.3372 0.3325 0.6244
0.6850 0.2217 0.8443
0.6646 0.6693 0.3782
0.7762 0.3084 0.6557
0.0003 0.4325 0.7458
0.4376 0.5660 0.7487
0.5649 0.4360 0.2517
0.5670 0.9943 0.7519
0.4345 0.0017 0.2449
0.9980 0.5619 0.2496
```

Calculated total energy in eV/atom: -6.723
Calculated volume in A^3/atom: 12.982
Density in kg/m3: 3085



A relaxed structure of Li3Sn2P3O12, computed with PBE-GGA.

Geometry as POSCAR:
```
Li3Sn2P3O12
1.0
8.9090 0.0000 0.0000
0.0000 8.7727 0.0000
0.0000 8.4109 13.1566
O Sn Li P
48 8 12 12
Direct
0.3387 0.2527 0.0495
0.2426 0.9672 0.8143
0.7664 0.3424 0.2898
0.2336 0.6576 0.7102
0.6613 0.7473 0.9505
0.9955 0.8430 0.2738
0.7426 0.0328 0.6857
0.4596 0.3845 0.8188
0.3727 0.4609 0.4483
0.2574 0.9672 0.3143
0.8721 0.4050 0.5586
0.8387 0.7473 0.4505
0.5590 0.0886 0.8415
0.1326 0.8310 0.5307
0.0134 0.0796 0.0934
0.6273 0.5391 0.5517
0.7206 0.5537 0.3920
0.4955 0.1570 0.2262
0.9866 0.9204 0.9066
0.8727 0.5391 0.0517
0.4410 0.9114 0.1585
0.6326 0.1690 0.9693
0.1279 0.5950 0.4414
0.5045 0.8430 0.7738
0.1273 0.4609 0.9483
0.1613 0.2527 0.5495
0.3501 0.2019 0.3488
0.1499 0.2019 0.8488
0.9410 0.0886 0.3415
0.6279 0.4050 0.0586
0.5134 0.9204 0.4066
0.2206 0.4463 0.1080
0.4866 0.0796 0.5934
0.2664 0.6576 0.2102
0.0590 0.9114 0.6585
0.0404 0.3845 0.3188
0.7794 0.5537 0.8920
0.8674 0.1690 0.4693
0.7336 0.3424 0.7898
0.2794 0.4463 0.6080
0.9596 0.6155 0.6812
0.3674 0.8310 0.0307
0.3721 0.5950 0.9414
0.5404 0.6155 0.1812
0.8501 0.7981 0.1512
0.7574 0.0328 0.1857
0.6499 0.7981 0.6512
0.0045 0.1570 0.7262
0.0560 0.8484 0.4029
0.4701 0.6990 0.5716
0.5299 0.3010 0.4284
0.4440 0.8484 0.9029
0.0299 0.6990 0.0716
0.9701 0.3010 0.9284
0.5560 0.1516 0.0971
0.9440 0.1516 0.5971
0.2744 0.3994 0.7461
0.1102 0.6033 0.3107
0.2767 0.0228 0.6633
0.2256 0.3994 0.2461
0.6102 0.3967 0.1893
0.7233 0.9772 0.3367
0.7256 0.6006 0.2539
0.2233 0.0228 0.1633
0.8898 0.3967 0.6893
0.7767 0.9772 0.8367
0.3898 0.6033 0.8107
0.7744 0.6006 0.7539
0.9083 0.2544 0.3530
0.0992 0.0592 0.8270
0.9008 0.9408 0.1730
0.2614 0.4386 0.0160
0.0917 0.7456 0.6470
0.7386 0.5614 0.9840
0.5917 0.2544 0.8530
0.4083 0.7456 0.1470
0.7614 0.5614 0.4840
0.5992 0.9408 0.6730
0.2386 0.4386 0.5160
0.4008 0.0592 0.3270
```

Calculated total energy in eV/atom: -6.574
Calculated volume in A^3/atom: 12.853
ΔE to the lowest computed polymorph in kJ/mol of formula units: 0
Density in kg/m3: 3509



Q: Among the records above, which one has the highest calculated volume?
A: LiSn2P3O10